The following is a DFT calculation (GGA+U) of Ca8Ti3Mn5O24 after structural relaxation.

```
Ca8Ti3Mn5O24
1.0
7.6824 0.0000 0.0000
0.0000 7.6824 0.0000
0.0000 0.0000 7.6699
Ca Ti Mn O
8 3 5 24
Direct
0.2477 0.2477 0.2427
0.2477 0.2477 0.7573
0.2477 0.7523 0.2427
0.2477 0.7523 0.7573
0.7523 0.2477 0.2427
0.7523 0.2477 0.7573
0.7523 0.7523 0.2427
0.7523 0.7523 0.7573
0.0000 0.5000 0.5000
0.5000 0.0000 0.5000
0.5000 0.5000 0.5000
0.0000 0.0000 0.0000
0.0000 0.0000 0.5000
0.0000 0.5000 0.0000
0.5000 0.0000 0.0000
0.5000 0.5000 0.0000
0.0000 0.0000 0.2494
0.0000 0.0000 0.7506
0.0000 0.2472 0.5000
0.0000 0.2498 0.0000
0.0000 0.5000 0.2465
0.0000 0.5000 0.7535
0.0000 0.7502 0.0000
0.0000 0.7528 0.5000
0.2472 0.0000 0.5000
0.2495 0.5000 0.5000
0.2498 0.0000 0.0000
0.2499 0.5000 0.0000
0.5000 0.0000 0.2465
0.5000 0.0000 0.7535
0.5000 0.2495 0.5000
0.5000 0.2499 0.0000
0.5000 0.5000 0.2462
0.5000 0.5000 0.7538
0.5000 0.7501 0.0000
0.5000 0.7505 0.5000
0.7502 0.0000 0.0000
0.7501 0.5000 0.0000
0.7505 0.5000 0.5000
0.7528 0.0000 0.5000
```

Calculated density: 4.1 Mg/m³
Energy above the lowest structure with this stoichiometry: 57.4 meV/atom
Energy of formation: -2.833 eV per atom
Total energy after the MP2020 corrections: -7.941 eV per atom
E_tot: -7.320 eV per atom

The following is a DFT calculation (GGA+U) of Li6Ti3VP6O24 after structural relaxation.

```
Li6Ti3VP6O24
1.0
8.5416 0.0000 0.0000
3.9321 7.6373 0.0000
3.9275 2.4208 7.2501
Li Ti V P O
6 3 1 6 24
Direct
0.0000 0.0000 0.0000
0.0807 0.5144 0.8838
0.2707 0.8557 0.6473
0.4753 0.6912 0.3115
0.7173 0.3593 0.1494
0.9068 0.0842 0.4893
0.3915 0.9988 0.7901
0.5991 0.2148 0.0069
0.8929 0.5026 0.3026
0.1013 0.7075 0.5072
0.1986 0.1063 0.1919
0.2998 0.6066 0.1005
0.4987 0.3955 0.6083
0.6941 0.9098 0.4029
0.7893 0.8121 0.9061
0.9970 0.3038 0.7065
0.0108 0.2656 0.2190
0.0526 0.4588 0.6860
0.1328 0.5482 0.1431
0.1505 0.1103 0.7258
0.1872 0.9484 0.3790
0.2186 0.0530 0.0328
0.2822 0.6572 0.2583
0.2964 0.7735 0.9186
0.3423 0.5838 0.5933
0.3652 0.1650 0.1418
0.4384 0.2349 0.6452
0.4872 0.4508 0.0683
0.5056 0.9253 0.5597
0.5664 0.3509 0.7660
0.6201 0.8555 0.8541
0.6551 0.4171 0.4173
0.6791 0.0926 0.2374
0.7324 0.7433 0.3478
0.7641 0.9693 0.9649
0.8064 0.6226 0.0646
0.8430 0.2719 0.8986
0.8527 0.8875 0.4571
0.9387 0.3411 0.5436
0.9752 0.7908 0.7474
```

Calculated density: 2.8 Mg/m³
Energy of formation: -2.817 eV per atom
Total energy after the MP2020 corrections: -7.703 eV per atom
E_tot: -7.248 eV per atom

The following is a DFT calculation (GGA+U) of La2Mo4O15 after structural relaxation.

```
La2Mo4O15
1.0
20.3582 0.0000 0.0000
0.0000 13.2623 0.0000
-1.2914 0.0000 14.0330
La Mo O
24 48 180
Direct
0.0458 0.1171 0.2159
0.0458 0.3829 0.7159
0.1229 0.6144 0.1478
0.1229 0.8856 0.6478
0.2097 0.1323 0.0560
0.2097 0.3677 0.5560
0.2941 0.6250 0.9770
0.2941 0.8750 0.4770
0.3656 0.1269 0.8887
0.3656 0.3731 0.3887
0.4448 0.6585 0.8226
0.4448 0.8415 0.3226
0.5552 0.1585 0.6774
0.5552 0.3415 0.1774
0.6344 0.6269 0.6113
0.6344 0.8731 0.1113
0.7059 0.1250 0.5230
0.7059 0.3750 0.0230
0.7903 0.6323 0.4440
0.7903 0.8677 0.9440
0.8771 0.1144 0.3522
0.8771 0.3856 0.8522
0.9542 0.6171 0.2841
0.9542 0.8829 0.7841
0.0107 0.5976 0.8734
0.0107 0.9024 0.3734
0.0163 0.1527 0.9336
0.0163 0.3473 0.4336
0.1337 0.6425 0.4220
0.1337 0.8575 0.9220
0.1468 0.0880 0.4852
0.1468 0.4120 0.9852
0.1620 0.5944 0.7301
0.1620 0.9056 0.2301
0.1723 0.1586 0.7841
0.1723 0.3414 0.2841
0.2905 0.6481 0.2758
0.2905 0.8519 0.7758
0.3195 0.5851 0.5887
0.3195 0.9149 0.0887
0.3569 0.1564 0.5958
0.3569 0.3436 0.0958
0.3601 0.0818 0.2822
0.3601 0.4182 0.7822
0.4796 0.6632 0.0988
0.4796 0.8368 0.5988
0.4836 0.0636 0.1253
0.4836 0.4364 0.6253
0.5164 0.5636 0.3747
0.5164 0.9364 0.8747
0.5204 0.1632 0.4012
0.5204 0.3368 0.9012
0.6399 0.5818 0.2178
0.6399 0.9182 0.7178
0.6431 0.6564 0.9042
0.6431 0.8436 0.4042
0.6805 0.0851 0.9113
0.6805 0.4149 0.4113
0.7095 0.1481 0.2242
0.7095 0.3519 0.7242
0.8277 0.6586 0.7159
0.8277 0.8414 0.2159
0.8380 0.0944 0.7699
0.8380 0.4056 0.2699
0.8532 0.5880 0.0148
0.8532 0.9120 0.5148
0.8663 0.1425 0.0780
0.8663 0.3575 0.5780
0.9837 0.6527 0.5664
0.9837 0.8473 0.0664
0.9893 0.0976 0.6266
0.9893 0.4024 0.1266
0.0024 0.0338 0.8756
0.0024 0.4662 0.3756
0.0039 0.7372 0.1360
0.0039 0.7628 0.6360
0.0187 0.5289 0.1666
0.0187 0.9711 0.6666
0.0283 0.2065 0.6771
0.0283 0.2935 0.1771
0.0591 0.6213 0.9814
0.0591 0.8787 0.4814
0.0596 0.6525 0.4955
0.0596 0.8475 0.9955
0.0718 0.0859 0.5442
0.0718 0.4141 0.0442
0.0772 0.1566 0.0371
0.0772 0.3434 0.5371
0.0818 0.5885 0.7923
0.0818 0.6473 0.3070
0.0818 0.8527 0.8070
0.0818 0.9115 0.2923
0.1060 0.1621 0.8589
0.1060 0.3379 0.3589
0.1262 0.1001 0.3606
0.1262 0.3999 0.8606
0.1452 0.7124 0.6725
0.1452 0.7876 0.1725
0.1455 0.0234 0.1650
0.1455 0.4766 0.6650
0.1645 0.5235 0.4624
0.1645 0.9765 0.9624
0.1668 0.0472 0.7113
0.1668 0.4528 0.2113
0.1689 0.2321 0.2088
0.1689 0.2679 0.7088
0.1816 0.7462 0.4675
0.1816 0.7538 0.9675
0.1879 0.5303 0.0149
0.1879 0.9697 0.5149
0.1980 0.1917 0.5232
0.1980 0.3083 0.0232
0.2092 0.6388 0.3172
0.2092 0.8612 0.8172
0.2189 0.5956 0.8319
0.2189 0.9044 0.3319
0.2437 0.1540 0.8705
0.2437 0.3460 0.3705
0.2471 0.6031 0.6486
0.2471 0.8969 0.1486
0.2724 0.6495 0.1481
0.2724 0.8505 0.6481
0.2896 0.0911 0.1978
0.2896 0.4089 0.6978
0.3021 0.0188 0.0077
0.3021 0.4812 0.5077
0.3239 0.0433 0.5401
0.3239 0.4567 0.0401
0.3272 0.2280 0.0370
0.3272 0.2720 0.5370
0.3312 0.7388 0.8239
0.3312 0.7612 0.3239
0.3317 0.6960 0.5235
0.3317 0.8040 0.0235
0.3358 0.1596 0.7158
0.3358 0.3404 0.2158
0.3363 0.5400 0.3125
0.3363 0.9600 0.8125
0.3491 0.1815 0.3598
0.3491 0.3185 0.8598
0.3509 0.5326 0.8504
0.3509 0.9674 0.3504
0.3905 0.5623 0.6777
0.3905 0.9377 0.1777
0.4217 0.6397 0.9930
0.4217 0.8603 0.4930
0.4269 0.1332 0.2024
0.4269 0.3668 0.7024
0.4347 0.7034 0.1956
0.4347 0.7966 0.6956
0.4375 0.0356 0.0137
0.4375 0.4644 0.5137
0.4456 0.1499 0.6017
0.4456 0.3501 0.1017
0.4615 0.6626 0.3932
0.4615 0.8374 0.8932
0.4662 0.2361 0.9189
0.4662 0.2639 0.4189
0.4713 0.0528 0.3668
0.4713 0.4472 0.8668
0.4726 0.0412 0.8187
0.4726 0.4588 0.3187
0.5274 0.5412 0.6813
0.5274 0.9588 0.1813
0.5287 0.5528 0.1332
0.5287 0.9472 0.6332
0.5338 0.7361 0.5811
0.5338 0.7639 0.0811
0.5385 0.1626 0.1068
0.5385 0.3374 0.6068
0.5544 0.6499 0.8983
0.5544 0.8501 0.3983
0.5625 0.5356 0.4863
0.5625 0.9644 0.9863
0.5653 0.2034 0.3044
0.5653 0.2966 0.8044
0.5731 0.6332 0.2976
0.5731 0.8668 0.7976
0.5783 0.1397 0.5070
0.5783 0.3603 0.0070
0.6095 0.0623 0.8223
0.6095 0.4377 0.3223
0.6491 0.0326 0.6496
0.6491 0.4674 0.1496
0.6509 0.6815 0.1402
0.6509 0.8185 0.6402
0.6637 0.0400 0.1875
0.6637 0.4600 0.6875
0.6642 0.6596 0.7842
0.6642 0.8404 0.2842
0.6683 0.1960 0.9765
0.6683 0.3040 0.4765
0.6688 0.2388 0.6761
0.6688 0.2612 0.1761
0.6728 0.7280 0.4630
0.6728 0.7720 0.9630
0.6761 0.5433 0.9599
0.6761 0.9567 0.4599
0.6979 0.5188 0.4923
0.6979 0.9812 0.9923
0.7104 0.5911 0.3022
0.7104 0.9089 0.8022
0.7276 0.1495 0.3519
0.7276 0.3505 0.8519
0.7529 0.1031 0.8514
0.7529 0.3969 0.3514
0.7563 0.6540 0.6295
0.7563 0.8460 0.1295
0.7811 0.0956 0.6681
0.7811 0.4044 0.1681
0.7909 0.1388 0.1828
0.7909 0.3612 0.6828
0.8020 0.6917 0.9768
0.8020 0.8083 0.4768
0.8121 0.0303 0.4851
0.8121 0.4697 0.9851
0.8184 0.2462 0.0325
0.8184 0.2538 0.5325
0.8311 0.7321 0.2912
0.8311 0.7679 0.7912
0.8332 0.5472 0.7887
0.8332 0.9528 0.2887
0.8355 0.0235 0.0376
0.8355 0.4765 0.5376
0.8545 0.5234 0.3350
0.8545 0.9766 0.8350
0.8548 0.2124 0.8275
0.8548 0.2876 0.3275
0.8738 0.6001 0.1394
0.8738 0.8999 0.6394
0.8940 0.6621 0.6411
0.8940 0.8379 0.1411
0.9182 0.0885 0.7077
0.9182 0.1473 0.1930
0.9182 0.3527 0.6930
0.9182 0.4115 0.2077
0.9228 0.6566 0.4629
0.9228 0.8434 0.9629
0.9282 0.5859 0.9558
0.9282 0.9141 0.4558
0.9404 0.1525 0.0045
0.9404 0.3475 0.5045
0.9409 0.1213 0.5186
0.9409 0.3787 0.0186
0.9717 0.7065 0.8229
0.9717 0.7935 0.3229
0.9813 0.0289 0.3334
0.9813 0.4711 0.8334
0.9961 0.2372 0.3640
0.9961 0.2628 0.8640
0.9976 0.5338 0.6244
0.9976 0.9662 0.1244
```

Calculated density: 4.7 Mg/m³
Energy above the lowest structure with this stoichiometry: 7.4 meV/atom
Energy of formation: -2.500 eV per atom
Total energy after the MP2020 corrections: -8.570 eV per atom
E_tot: -7.470 eV per atom

The following is a DFT calculation (GGA+U) of LiFe4B4O12 after structural relaxation.

```
LiFe4B4O12
1.0
5.3176 0.0000 0.0000
0.0000 9.0324 0.0000
-0.0647 0.0000 10.2786
Li Fe B O
2 8 8 24
Direct
0.0000 0.0072 0.0000
0.0000 0.9928 0.5000
0.3069 0.3321 0.7964
0.3069 0.6679 0.2964
0.4869 0.1724 0.5425
0.4869 0.8276 0.0425
0.7818 0.1682 0.2887
0.7818 0.8318 0.7887
0.9840 0.3403 0.0441
0.9840 0.6597 0.5441
0.2928 0.3345 0.2948
0.2928 0.6655 0.7948
0.4787 0.1645 0.0381
0.4787 0.8355 0.5381
0.8129 0.1739 0.7992
0.8129 0.8261 0.2992
0.9791 0.3240 0.5475
0.9791 0.6760 0.0475
0.0667 0.3079 0.2305
0.0667 0.6921 0.7305
0.2158 0.2991 0.6040
0.2158 0.7009 0.1040
0.3455 0.2892 0.9959
0.3455 0.7108 0.4959
0.3620 0.0283 0.0414
0.3620 0.9717 0.5414
0.3986 0.4712 0.2989
0.3986 0.5288 0.7989
0.4194 0.2158 0.3542
0.4194 0.7842 0.8542
0.5800 0.2009 0.7391
0.5800 0.7991 0.2391
0.7306 0.1779 0.0757
0.7306 0.8221 0.5757
0.8477 0.1970 0.5058
0.8477 0.8030 0.0058
0.8858 0.4611 0.5341
0.8858 0.5389 0.0341
0.9036 0.0356 0.8156
0.9036 0.9644 0.3156
0.9498 0.2966 0.8460
0.9498 0.7034 0.3460
```

Calculated density: 3.1 Mg/m³
Energy above the lowest structure with this stoichiometry: 2.6 meV/atom
Energy of formation: -2.231 eV per atom
Total energy after the MP2020 corrections: -8.035 eV per atom
E_tot: -7.213 eV per atom

The following is a DFT calculation (GGA+U) of KSrNdFeO6 after structural relaxation.

```
KSrNdFeO6
1.0
0.0000 4.1729 4.1729
4.1729 0.0000 4.1729
4.1729 4.1729 0.0000
K Sr Nd Fe O
1 1 1 1 6
Direct
0.0000 0.0000 0.0000
0.5000 0.5000 0.5000
0.2500 0.2500 0.2500
0.7500 0.7500 0.7500
0.5250 0.5250 0.9750
0.5250 0.9750 0.5250
0.5250 0.9750 0.9750
0.9750 0.5250 0.5250
0.9750 0.5250 0.9750
0.9750 0.9750 0.5250
```

Calculated density: 4.8 Mg/m³
Energy of formation: -2.196 eV per atom
Total energy after the MP2020 corrections: -6.769 eV per atom
E_tot: -6.131 eV per atom